Ho2Fe17C2: relaxed, PBE.

Properties
Its space group is C2/m, No. 12. The calculation puts the spin magnetization at 0.1 μB per formula unit.

abc: 6.459 6.459 6.481
angles: 96.43 96.43 83.37
Positions (direct):
1 Ho 0.154 0.154 0.338
2 Ho 0.846 0.846 0.662
3 Fe 0.000 0.500 0.000
4 Fe 0.155 0.155 0.855
5 Fe 0.157 0.647 0.342
6 Fe 0.214 0.786 0.000
7 Fe 0.216 0.499 0.716
8 Fe 0.353 0.843 0.658
9 Fe 0.403 0.403 0.097
10 Fe 0.499 0.216 0.716
11 Fe 0.500 0.000 0.000
12 Fe 0.500 0.500 0.500
13 Fe 0.501 0.784 0.284
14 Fe 0.597 0.597 0.903
15 Fe 0.647 0.157 0.342
16 Fe 0.784 0.501 0.284
17 Fe 0.786 0.214 0.000
18 Fe 0.843 0.353 0.658
19 Fe 0.845 0.845 0.145
20 C 0.000 0.500 0.500
21 C 0.500 0.000 0.500



HoFe2SiC: relaxed, PBE.

Properties
Its space group is Cmcm, No. 63. The calculation puts the spin magnetization at 0.9 μB per formula unit.

abc: 5.533 5.533 6.743
angles: 90.00 90.00 140.47
Positions (direct):
1 Ho 0.048 0.952 0.750
2 Ho 0.952 0.048 0.250
3 Fe 0.334 0.666 0.562
4 Fe 0.334 0.666 0.938
5 Fe 0.666 0.334 0.062
6 Fe 0.666 0.334 0.438
7 Si 0.232 0.768 0.250
8 Si 0.768 0.232 0.750
9 C 0.500 0.500 0.000
10 C 0.500 0.500 0.500



HoTiFe11C: relaxed, PBE.

Properties
Its space group is Imm2, No. 44. The calculation puts the spin magnetization at 21.8 μB per formula unit.

abc: 6.482 6.482 6.482
angles: 136.09 97.82 98.25
Positions (direct):
1 Ho 0.000 0.000 0.000
2 Ti 0.371 0.371 0.000
3 Fe 0.004 0.005 0.498
4 Fe 0.004 0.506 0.999
5 Fe 0.228 0.728 0.500
6 Fe 0.229 0.508 0.721
7 Fe 0.365 0.007 0.358
8 Fe 0.507 0.005 0.001
9 Fe 0.507 0.506 0.502
10 Fe 0.648 0.007 0.642
11 Fe 0.650 0.650 0.000
12 Fe 0.783 0.283 0.500
13 Fe 0.788 0.508 0.279
14 C 0.005 0.505 0.500



K3FeC6N6: relaxed, PBE.

Properties
Its space group is P2_1/c, No. 14. The calculation puts the spin magnetization at 1.0 μB per formula unit.

abc: 7.112 10.538 8.433
angles: 90.00 107.17 90.00
Positions (direct):
1 K 0.000 0.000 0.000
2 K 0.000 0.500 0.500
3 K 0.499 0.228 0.875
4 K 0.499 0.272 0.375
5 K 0.501 0.728 0.625
6 K 0.501 0.772 0.125
7 Fe 0.000 0.000 0.500
8 Fe 0.000 0.500 0.000
9 C 0.119 0.164 0.528
10 C 0.119 0.336 0.028
11 C 0.183 0.552 0.206
12 C 0.183 0.555 0.887
13 C 0.183 0.945 0.387
14 C 0.183 0.948 0.706
15 C 0.817 0.052 0.294
16 C 0.817 0.055 0.613
17 C 0.817 0.445 0.113
18 C 0.817 0.448 0.794
19 C 0.881 0.664 0.972
20 C 0.881 0.836 0.472
21 N 0.198 0.236 0.048
22 N 0.198 0.264 0.548
23 N 0.293 0.583 0.334
24 N 0.293 0.917 0.834
25 N 0.294 0.589 0.816
26 N 0.294 0.911 0.316
27 N 0.706 0.089 0.684
28 N 0.706 0.411 0.184
29 N 0.707 0.083 0.166
30 N 0.707 0.417 0.666
31 N 0.802 0.736 0.452
32 N 0.802 0.764 0.952



K3FeC6N6: relaxed, PBE.

Properties
Its space group is P2_1/c, No. 14. The calculation puts the spin magnetization at 1.0 μB per formula unit.

abc: 8.462 10.618 14.258
angles: 90.00 107.32 90.00
Positions (direct):
1 K 0.124 0.218 0.000
2 K 0.124 0.282 0.500
3 K 0.253 0.511 0.756
4 K 0.253 0.989 0.256
5 K 0.376 0.749 0.501
6 K 0.376 0.751 0.001
7 K 0.624 0.249 0.999
8 K 0.624 0.251 0.499
9 K 0.747 0.011 0.744
10 K 0.747 0.489 0.244
11 K 0.876 0.718 0.500
12 K 0.876 0.782 0.000
13 Fe 0.248 0.010 0.747
14 Fe 0.248 0.490 0.247
15 Fe 0.752 0.510 0.753
16 Fe 0.752 0.990 0.253
17 C 0.045 0.065 0.655
18 C 0.045 0.435 0.155
19 C 0.134 0.542 0.337
20 C 0.134 0.958 0.837
21 C 0.218 0.654 0.188
22 C 0.218 0.846 0.688
23 C 0.278 0.173 0.806
24 C 0.278 0.327 0.306
25 C 0.362 0.066 0.657
26 C 0.362 0.434 0.157
27 C 0.453 0.541 0.339
28 C 0.453 0.959 0.839
29 C 0.547 0.041 0.161
30 C 0.547 0.459 0.661
31 C 0.638 0.566 0.843
32 C 0.638 0.934 0.343
33 C 0.722 0.673 0.694
34 C 0.722 0.827 0.194
35 C 0.782 0.154 0.312
36 C 0.782 0.346 0.812
37 C 0.866 0.042 0.163
38 C 0.866 0.458 0.663
39 C 0.955 0.565 0.845
40 C 0.955 0.935 0.345
41 N 0.062 0.570 0.393
42 N 0.062 0.930 0.893
43 N 0.081 0.602 0.899
44 N 0.081 0.898 0.399
45 N 0.200 0.746 0.651
46 N 0.200 0.754 0.151
47 N 0.297 0.229 0.347
48 N 0.297 0.271 0.847
49 N 0.420 0.070 0.105
50 N 0.420 0.430 0.605
51 N 0.435 0.101 0.603
52 N 0.435 0.399 0.103
53 N 0.565 0.601 0.897
54 N 0.565 0.899 0.397
55 N 0.580 0.570 0.395
56 N 0.580 0.930 0.895
57 N 0.703 0.729 0.153
58 N 0.703 0.771 0.653
59 N 0.800 0.246 0.849
60 N 0.800 0.254 0.349
61 N 0.919 0.102 0.601
62 N 0.919 0.398 0.101
63 N 0.938 0.070 0.107
64 N 0.938 0.430 0.607



K3FeC6N6: relaxed, PBE.

Properties
Its space group is Pbcn, No. 60. The calculation puts the spin magnetization at 1.0 μB per formula unit.

abc: 10.416 8.393 13.441
angles: 90.00 90.00 90.00
Positions (direct):
1 K 0.000 0.127 0.250
2 K 0.000 0.873 0.750
3 K 0.230 0.126 0.501
4 K 0.230 0.874 0.001
5 K 0.270 0.374 0.001
6 K 0.270 0.626 0.501
7 K 0.500 0.373 0.750
8 K 0.500 0.627 0.250
9 K 0.730 0.374 0.499
10 K 0.730 0.626 0.999
11 K 0.770 0.126 0.999
12 K 0.770 0.874 0.499
13 Fe 0.000 0.377 0.750
14 Fe 0.000 0.623 0.250
15 Fe 0.500 0.123 0.250
16 Fe 0.500 0.877 0.750
17 C 0.052 0.214 0.842
18 C 0.052 0.786 0.342
19 C 0.054 0.464 0.344
20 C 0.054 0.536 0.844
21 C 0.167 0.376 0.690
22 C 0.167 0.624 0.190
23 C 0.333 0.124 0.190
24 C 0.333 0.876 0.690
25 C 0.446 0.036 0.844
26 C 0.446 0.964 0.344
27 C 0.448 0.286 0.342
28 C 0.448 0.714 0.842
29 C 0.552 0.286 0.158
30 C 0.552 0.714 0.658
31 C 0.554 0.036 0.656
32 C 0.554 0.964 0.156
33 C 0.667 0.124 0.310
34 C 0.667 0.876 0.810
35 C 0.833 0.376 0.810
36 C 0.833 0.624 0.310
37 C 0.946 0.464 0.156
38 C 0.946 0.536 0.656
39 C 0.948 0.214 0.658
40 C 0.948 0.786 0.158
41 N 0.084 0.113 0.898
42 N 0.084 0.887 0.398
43 N 0.088 0.364 0.400
44 N 0.088 0.636 0.900
45 N 0.232 0.120 0.150
46 N 0.232 0.880 0.650
47 N 0.268 0.380 0.650
48 N 0.268 0.620 0.150
49 N 0.412 0.136 0.900
50 N 0.412 0.864 0.400
51 N 0.416 0.387 0.398
52 N 0.416 0.613 0.898
53 N 0.584 0.387 0.102
54 N 0.584 0.613 0.602
55 N 0.588 0.136 0.600
56 N 0.588 0.864 0.100
57 N 0.732 0.380 0.850
58 N 0.732 0.620 0.350
59 N 0.768 0.120 0.350
60 N 0.768 0.880 0.850
61 N 0.912 0.364 0.100
62 N 0.912 0.636 0.600
63 N 0.916 0.113 0.602
64 N 0.916 0.887 0.102



KFeNiC6N6: relaxed, PBE.

Properties
Its space group is F-43m, No. 216. The calculation puts the spin magnetization at 3.0 μB per formula unit.

abc: 7.320 7.320 7.320
angles: 60.00 60.00 60.00
Positions (direct):
1 K 0.000 0.000 0.000
2 Fe 0.250 0.250 0.250
3 Ni 0.750 0.750 0.750
4 C 0.064 0.064 0.436
5 C 0.064 0.436 0.064
6 C 0.064 0.436 0.436
7 C 0.436 0.064 0.064
8 C 0.436 0.064 0.436
9 C 0.436 0.436 0.064
10 N 0.549 0.549 0.951
11 N 0.549 0.951 0.549
12 N 0.549 0.951 0.951
13 N 0.951 0.549 0.549
14 N 0.951 0.549 0.951
15 N 0.951 0.951 0.549



K2FeNiC6N6: relaxed, PBE.

Properties
Its space group is Fm-3m, No. 225. The calculation puts the spin magnetization at 2.0 μB per formula unit.

abc: 7.213 7.213 7.213
angles: 60.00 60.00 60.00
Positions (direct):
1 K 0.250 0.250 0.250
2 K 0.750 0.750 0.750
3 Fe 0.000 0.000 0.000
4 Ni 0.500 0.500 0.500
5 C 0.184 0.184 0.816
6 C 0.184 0.816 0.184
7 C 0.184 0.816 0.816
8 C 0.816 0.184 0.184
9 C 0.816 0.184 0.816
10 C 0.816 0.816 0.184
11 N 0.300 0.300 0.700
12 N 0.300 0.700 0.300
13 N 0.300 0.700 0.700
14 N 0.700 0.300 0.300
15 N 0.700 0.300 0.700
16 N 0.700 0.700 0.300



La2Fe2Si2C: relaxed, PBE.

Properties
Its space group is C2/m, No. 12.

abc: 5.836 5.836 7.106
angles: 124.95 124.95 40.28
Positions (direct):
1 La 0.056 0.056 0.303
2 La 0.944 0.944 0.697
3 Fe 0.309 0.309 0.918
4 Fe 0.691 0.691 0.082
5 Si 0.313 0.313 0.245
6 Si 0.687 0.687 0.755
7 C 0.500 0.500 0.000



La21Fe8Sn7C12: relaxed, PBE.

Properties
Its space group is Fm-3m, No. 225. The calculation puts the spin magnetization at 2.8 μB per formula unit.

abc: 11.644 11.644 11.644
angles: 60.00 60.00 60.00
Positions (direct):
1 La 0.000 0.000 0.000
2 La 0.135 0.135 0.135
3 La 0.135 0.135 0.594
4 La 0.135 0.594 0.135
5 La 0.160 0.500 0.500
6 La 0.160 0.500 0.840
7 La 0.160 0.840 0.500
8 La 0.406 0.865 0.865
9 La 0.500 0.160 0.500
10 La 0.500 0.160 0.840
11 La 0.500 0.500 0.160
12 La 0.500 0.500 0.840
13 La 0.500 0.840 0.160
14 La 0.500 0.840 0.500
15 La 0.594 0.135 0.135
16 La 0.840 0.160 0.500
17 La 0.840 0.500 0.160
18 La 0.840 0.500 0.500
19 La 0.865 0.406 0.865
20 La 0.865 0.865 0.406
21 La 0.865 0.865 0.865
22 Fe 0.088 0.304 0.304
23 Fe 0.304 0.088 0.304
24 Fe 0.304 0.304 0.088
25 Fe 0.304 0.304 0.304
26 Fe 0.696 0.696 0.696
27 Fe 0.696 0.696 0.912
28 Fe 0.696 0.912 0.696
29 Fe 0.912 0.696 0.696
30 Sn 0.211 0.211 0.789
31 Sn 0.211 0.789 0.211
32 Sn 0.211 0.789 0.789
33 Sn 0.500 0.500 0.500
34 Sn 0.789 0.211 0.211
35 Sn 0.789 0.211 0.789
36 Sn 0.789 0.789 0.211
37 C 0.110 0.110 0.390
38 C 0.110 0.390 0.110
39 C 0.110 0.390 0.390
40 C 0.390 0.110 0.110
41 C 0.390 0.110 0.390
42 C 0.390 0.390 0.110
43 C 0.610 0.610 0.890
44 C 0.610 0.890 0.610
45 C 0.610 0.890 0.890
46 C 0.890 0.610 0.610
47 C 0.890 0.610 0.890
48 C 0.890 0.890 0.610



Lu2Fe17C3: relaxed, PBE.

Properties
Its space group is R-3m, No. 166. The calculation puts the spin magnetization at 34.1 μB per formula unit.

abc: 6.462 6.462 6.462
angles: 82.89 82.89 82.89
Positions (direct):
1 Lu 0.158 0.158 0.158
2 Lu 0.842 0.842 0.842
3 Fe 0.000 0.500 0.500
4 Fe 0.155 0.155 0.647
5 Fe 0.155 0.647 0.155
6 Fe 0.217 0.500 0.783
7 Fe 0.217 0.783 0.500
8 Fe 0.353 0.845 0.845
9 Fe 0.404 0.404 0.404
10 Fe 0.500 0.000 0.500
11 Fe 0.500 0.217 0.783
12 Fe 0.500 0.500 0.000
13 Fe 0.500 0.783 0.217
14 Fe 0.596 0.596 0.596
15 Fe 0.647 0.155 0.155
16 Fe 0.783 0.217 0.500
17 Fe 0.783 0.500 0.217
18 Fe 0.845 0.353 0.845
19 Fe 0.845 0.845 0.353
20 C 0.000 0.000 0.500
21 C 0.000 0.500 0.000
22 C 0.500 0.000 0.000



LuFeC2: relaxed, PBE.

Properties
Its space group is Amm2, No. 38.

abc: 3.471 3.719 3.719
angles: 75.07 90.00 90.00
Positions (direct):
1 Lu 0.000 0.000 0.000
2 Fe 0.500 0.608 0.608
3 C 0.500 0.139 0.449
4 C 0.500 0.449 0.139



Taking the records one at a time from the top gives theoretical density values of 8.15 8.01 7.95 1.81 1.79 1.86 1.85 2.18 6.13 6.45 8.40 9.12 g/cm3.
Taking the records one at a time from the top gives raw total energy values of -0.58820 -0.57083 -0.61039 -0.54715 -0.54715 -0.54693 -0.57675 -0.56208 -0.53518 -0.50829 -0.61028 -0.59888 Ry per atom.
Taking the records one at a time from the top gives energy relative to the elements values of 0.169 -0.531 -0.099 -0.255 -0.255 -0.252 0.059 -0.167 -0.583 -0.453 -0.089 -0.286 eV per atom.